This record from Materials Project describes crystalline VOF at its relaxed geometry. The functional is PBE with a Hubbard U.

Properties
- SG = No. 6
- V (Å³ per atom) = 11.63
- formation enthalpy at 0 K (eV/atom) = -2.801

abc: 3.098 4.754 18.985
angles: 86.19 90.00 90.00
Sites, in units of the cell vectors:
O (0.000, 0.309, 0.675)
V (0.500, 0.482, 0.125)
O (0.000, 0.288, 0.175)
V (0.000, 0.992, 0.250)
V (0.500, 0.498, 0.375)
F (0.500, 0.805, 0.451)
V (0.000, 0.955, 0.999)
O (0.000, 0.715, 0.824)
V (0.000, 0.016, 0.750)
O (0.000, 0.703, 0.575)
O (0.000, 0.685, 0.077)
V (0.500, 0.507, 0.625)
F (0.500, 0.814, 0.701)
F (0.500, 0.189, 0.046)
O (0.500, 0.799, 0.950)
F (0.500, 0.198, 0.549)
O (0.000, 0.697, 0.326)
V (0.000, 0.002, 0.500)
O (0.000, 0.299, 0.425)
V (0.500, 0.551, 0.876)
F (0.500, 0.192, 0.299)
F (0.500, 0.795, 0.202)
F (0.500, 0.210, 0.801)
F (0.000, 0.302, 0.924)